Record 1
Computed, not measured: a relaxed Na7ZnIn3Si3S3O24 crystal at the PBE-GGA level of DFT.

Cell: 9.2534 9.1994 22.4702 Å, 90.30 90.03 119.53°
Fractional positions:
Na: 0.6376 0.9999 0.2391
Na: 0.3873 0.3751 0.2370
Na: 0.9779 0.6274 0.2552
Na: 0.6260 0.6284 0.7360
Na: 0.9917 0.3464 0.7466
Na: 0.3888 0.0217 0.7578
Na: 0.0171 0.6951 0.5738
Na: 0.6695 0.9549 0.5852
Na: 0.3169 0.9843 0.0795
Na: 0.6536 0.6957 0.0952
Na: 0.6893 0.0357 0.9171
Na: 0.3338 0.2861 0.9185
Na: 0.9624 0.3002 0.4083
Na: 0.3320 0.0189 0.4126
Na: 0.7230 0.6847 0.4172
Na: 0.9851 0.9837 0.4949
Na: 0.0126 0.0137 0.0058
Na: 0.6511 0.3161 0.8285
Na: 0.6814 0.3492 0.3295
Na: 0.3461 0.6572 0.1616
Na: 0.3558 0.6467 0.6673
Zn: 0.9686 0.9624 0.3536
Zn: 0.6416 0.3313 0.6854
Zn: 0.6519 0.3383 0.1713
In: 0.0079 0.0062 0.8479
In: 0.9956 0.0031 0.6528
In: 0.9871 0.0052 0.1489
In: 0.6485 0.3136 0.9892
In: 0.6764 0.3473 0.4838
In: 0.3336 0.6764 0.0194
In: 0.3504 0.6714 0.5150
In: 0.3489 0.6820 0.3200
In: 0.3414 0.6735 0.8166
Si: 0.6966 0.6901 0.2503
Si: 0.2982 0.3010 0.7525
Si: 0.6994 0.0031 0.7498
Si: 0.6699 0.6352 0.5860
Si: 0.6688 0.0376 0.0847
Si: 0.3558 0.3338 0.0831
Si: 0.3263 0.9655 0.9169
Si: 0.6415 0.9782 0.4181
Si: 0.0431 0.6676 0.4175
S: 0.2893 0.9976 0.2520
S: 0.0089 0.3028 0.2552
S: 0.0002 0.6987 0.7485
S: 0.9687 0.3353 0.5841
S: 0.3662 0.0341 0.5841
S: 0.9587 0.6243 0.0852
S: 0.6381 0.6647 0.9171
S: 0.0330 0.3731 0.9157
S: 0.3302 0.3633 0.4149
O: 0.2081 0.0144 0.3059
O: 0.8054 0.7655 0.3112
O: 0.9980 0.2071 0.3091
O: 0.2280 0.1912 0.8132
O: 0.9724 0.7815 0.8004
O: 0.8131 0.0286 0.8099
O: 0.7737 0.9580 0.6906
O: 0.1727 0.2097 0.6965
O: 0.0294 0.7994 0.6935
O: 0.7812 0.8144 0.1930
O: 0.0366 0.2242 0.2013
O: 0.1937 0.9855 0.1971
O: 0.8840 0.3490 0.6373
O: 0.4678 0.1166 0.6373
O: 0.6599 0.5300 0.6449
O: 0.8842 0.5353 0.1407
O: 0.6553 0.1380 0.1434
O: 0.4770 0.3784 0.1412
O: 0.4357 0.3041 0.0219
O: 0.8548 0.5404 0.0323
O: 0.6949 0.1343 0.0214
O: 0.4441 0.1259 0.5286
O: 0.6963 0.5560 0.5238
O: 0.8684 0.3125 0.5290
O: 0.5544 0.6872 0.9699
O: 0.1446 0.4604 0.9664
O: 0.3120 0.8620 0.9775
O: 0.5655 0.8546 0.4755
O: 0.3017 0.4424 0.4678
O: 0.1510 0.6845 0.4782
O: 0.1256 0.6298 0.3589
O: 0.5262 0.9034 0.3580
O: 0.3618 0.4674 0.3609
O: 0.1094 0.4575 0.8588
O: 0.3545 0.8794 0.8573
O: 0.5330 0.6310 0.8627
O: 0.0349 0.8423 0.4156
O: 0.8320 0.0098 0.4126
O: 0.1834 0.1961 0.4085
O: 0.0111 0.1995 0.9164
O: 0.1626 0.9928 0.9155
O: 0.7989 0.8227 0.9116
O: 0.9880 0.1831 0.5846
O: 0.1948 0.0111 0.5872
O: 0.8434 0.8245 0.5858
O: 0.9785 0.7967 0.0864
O: 0.8176 0.9885 0.0846
O: 0.1833 0.1532 0.0904
O: 0.6881 0.1760 0.7437
O: 0.4868 0.3293 0.7479
O: 0.8545 0.5300 0.7441
O: 0.6798 0.5034 0.2424
O: 0.8551 0.3153 0.2504
O: 0.4609 0.1422 0.2495
O: 0.6627 0.5182 0.9232
O: 0.8673 0.3597 0.9202
O: 0.5001 0.1528 0.9168
O: 0.6445 0.1584 0.4254
O: 0.4815 0.3453 0.4214
O: 0.8521 0.5061 0.4180
O: 0.3395 0.5031 0.0766
O: 0.1285 0.6449 0.0810
O: 0.4904 0.8553 0.0853
O: 0.3492 0.8625 0.5826
O: 0.5051 0.6619 0.5830
O: 0.1333 0.4910 0.5802
O: 0.2983 0.8374 0.2517
O: 0.5071 0.6732 0.2531
O: 0.1572 0.4759 0.2558
O: 0.3073 0.4858 0.7555
O: 0.1519 0.6826 0.7549
O: 0.5108 0.8389 0.7528

Properties
total magnetization: 0.00 μB per cell
V: 13.5 A^3/atom
E_tot: -5.923 eV per atom

---

Record 2
Computed, not measured: a relaxed Ba6Na2As2Ru2O17 crystal at the PBE-GGA level of DFT.

Cell: 5.9411 5.9411 30.1346 Å, 90.00 90.00 120.00°
Fractional positions:
Ba: 0.3333 0.6667 0.5923
Ba: 0.6667 0.3333 0.4077
Ba: 0.6667 0.3333 0.6806
Ba: 0.0000 0.0000 0.0000
Ba: 0.6667 0.3333 0.8194
Ba: 0.6667 0.3333 0.0923
Ba: 0.3333 0.6667 0.9077
Ba: 0.0000 0.0000 0.2500
Ba: 0.3333 0.6667 0.3194
Ba: 0.3333 0.6667 0.1806
Ba: 0.0000 0.0000 0.7500
Ba: 0.0000 0.0000 0.5000
Na: 0.0000 0.0000 0.3764
Na: 0.0000 0.0000 0.8764
Na: 0.0000 0.0000 0.1236
Na: 0.0000 0.0000 0.6236
As: 0.3333 0.6667 0.0517
As: 0.6667 0.3333 0.9483
As: 0.6667 0.3333 0.5517
As: 0.3333 0.6667 0.4483
Ru: 0.3333 0.6667 0.7037
Ru: 0.6667 0.3333 0.2963
Ru: 0.3333 0.6667 0.7963
Ru: 0.6667 0.3333 0.2037
O: 0.3538 0.1769 0.1700
O: 0.0280 0.5140 0.7500
O: 0.6466 0.8233 0.4274
O: 0.3333 0.6667 0.9950
O: 0.6462 0.8231 0.8300
O: 0.1769 0.8231 0.8300
O: 0.4860 0.5140 0.7500
O: 0.6667 0.3333 0.0050
O: 0.1767 0.8233 0.4274
O: 0.6466 0.8233 0.0726
O: 0.1769 0.3538 0.8300
O: 0.5140 0.0280 0.2500
O: 0.1767 0.3534 0.4274
O: 0.5140 0.4860 0.2500
O: 0.8233 0.6466 0.9274
O: 0.9720 0.4860 0.2500
O: 0.8233 0.1767 0.9274
O: 0.3534 0.1767 0.5726
O: 0.1767 0.8233 0.0726
O: 0.3534 0.1767 0.9274
O: 0.8233 0.1767 0.5726
O: 0.8233 0.6466 0.5726
O: 0.8231 0.6462 0.1700
O: 0.8231 0.6462 0.3300
O: 0.1769 0.3538 0.6700
O: 0.8231 0.1769 0.1700
O: 0.4860 0.9720 0.7500
O: 0.1769 0.8231 0.6700
O: 0.6462 0.8231 0.6700
O: 0.6667 0.3333 0.4950
O: 0.8231 0.1769 0.3300
O: 0.3333 0.6667 0.5050
O: 0.3538 0.1769 0.3300
O: 0.1767 0.3534 0.0726

Properties
total magnetization: 12.00 μB per cell
V: 15.9 A^3/atom
E_tot: -6.405 eV per atom